The following is a DFT calculation (GGA+U) of a geometry-optimized P2W7O25 structure.

Results
**Volume**: 992.3 Å³/cell
**Total magnetization**: 4.0 μB per cell
**E**: -510.16 eV/cell
**Energy relative to the elements**: -2297 meV per atom

```
data_P2W7O25
_chemical_formula_sum 'P4 W14 O50'
_space_group_name_H-M_alt 'P 1 21/c 1'
_space_group_IT_number 14
_cell_length_a 5.416
_cell_length_b 6.715
_cell_length_c 27.815
_cell_angle_alpha 90.00
_cell_angle_beta 101.23
_cell_angle_gamma 90.00
loop_
_space_group_symop_operation_xyz
'x,y,z'
'-x,-y,-z'
'-x,y+1/2,-z+1/2'
'x,-y+1/2,z+1/2'
loop_
_atom_site_label
_atom_site_fract_x
_atom_site_fract_y
_atom_site_fract_z
_atom_site_occupancy
P1 0.200 0.198 0.209 1
W1 0.000 0.000 0.500 1
W2 0.112 0.661 0.614 1
W3 0.331 0.003 0.329 1
W4 0.442 0.669 0.444 1
O1 0.052 0.690 0.798 1
O2 0.060 0.669 0.061 1
O3 0.088 0.161 0.349 1
O4 0.174 0.011 0.177 1
O5 0.181 0.012 0.909 1
O6 0.203 0.684 0.968 1
O7 0.272 0.134 0.263 1
O8 0.293 0.156 0.527 1
O9 0.318 0.014 0.087 1
O10 0.388 0.658 0.884 1
O11 0.411 0.682 0.147 1
O12 0.412 0.167 0.698 1
O13 0.500 0.000 0.000 1
```

=====

The following is a DFT calculation (GGA+U) of a geometry-optimized P2W5O19 structure.

Results
**Volume**: 762.5 Å³/cell
**Total magnetization**: 4.0 μB per cell
**E**: -389.93 eV/cell
**Energy relative to the elements**: -2330 meV per atom

```
data_P2W5O19
_chemical_formula_sum 'P4 W10 O38'
_space_group_name_H-M_alt 'P 1 21 1'
_space_group_IT_number 4
_cell_length_a 6.733
_cell_length_b 5.405
_cell_length_c 21.069
_cell_angle_alpha 90.00
_cell_angle_beta 96.10
_cell_angle_gamma 90.00
loop_
_space_group_symop_operation_xyz
'x,y,z'
'-x,y+1/2,-z'
loop_
_atom_site_label
_atom_site_fract_x
_atom_site_fract_y
_atom_site_fract_z
_atom_site_occupancy
P1 0.214 0.000 0.235 1
P2 0.251 0.018 0.660 1
W1 0.106 0.005 0.815 1
W2 0.148 0.515 0.460 1
W3 0.179 0.504 0.036 1
W4 0.466 0.012 0.391 1
W5 0.468 0.503 0.888 1
O1 0.011 0.766 0.497 1
O2 0.012 0.770 0.002 1
O3 0.032 0.505 0.113 1
O4 0.048 0.013 0.620 1
O5 0.075 0.224 0.221 1
O6 0.097 0.755 0.226 1
O7 0.218 0.999 0.731 1
O8 0.274 0.267 0.843 1
O9 0.294 0.249 0.422 1
O10 0.294 0.769 0.847 1
O11 0.304 0.020 0.305 1
O12 0.316 0.755 0.416 1
O13 0.321 0.504 0.960 1
O14 0.348 0.239 0.074 1
O15 0.356 0.511 0.536 1
O16 0.358 0.266 0.651 1
O17 0.371 0.737 0.079 1
O18 0.380 0.796 0.644 1
O19 0.385 0.004 0.192 1
```

=====

The following is a DFT calculation (GGA+U) of a geometry-optimized PWO2 structure.

Results
**Volume**: 422.1 Å³/cell
**Total magnetization**: 19.4 μB per cell
**E**: -189.10 eV/cell
**Energy relative to the elements**: -295 meV per atom

```
data_PWO2
_chemical_formula_sum 'P8 W8 O16'
_space_group_name_H-M_alt 'I 41/a m d'
_space_group_IT_number 141
_cell_length_a 6.172
_cell_length_b 6.172
_cell_length_c 11.081
_cell_angle_alpha 90.00
_cell_angle_beta 90.00
_cell_angle_gamma 90.00
loop_
_space_group_symop_operation_xyz
'x,y,z'
'-x,-y,-z'
'-y+1/4,x+3/4,z+1/4'
'y+1/4,-x+3/4,-z+1/4'
'-x+1/2,-y,z+1/2'
'x+1/2,y,-z+1/2'
'y+1/4,-x+1/4,z+3/4'
'-y+1/4,x+1/4,-z+3/4'
'x,-y,-z'
'-x,y,z'
'-y+1/4,-x+1/4,-z+3/4'
'y+1/4,x+1/4,z+3/4'
'-x+1/2,y,-z+1/2'
'x+1/2,-y,z+1/2'
'y+1/4,x+3/4,-z+1/4'
'-y+1/4,-x+3/4,z+1/4'
'x+1/2,y+1/2,z+1/2'
'-x+1/2,-y+1/2,-z+1/2'
'-y+3/4,x+1/4,z+3/4'
'y+3/4,-x+1/4,-z+3/4'
'-x,-y+1/2,z'
'x,y+1/2,-z'
'y+3/4,-x+3/4,z+1/4'
'-y+3/4,x+3/4,-z+1/4'
'x+1/2,-y+1/2,-z+1/2'
'-x+1/2,y+1/2,z+1/2'
'-y+3/4,-x+3/4,-z+1/4'
'y+3/4,x+3/4,z+1/4'
'-x,y+1/2,-z'
'x,-y+1/2,z'
'y+3/4,x+1/4,-z+3/4'
'-y+3/4,-x+1/4,z+3/4'
loop_
_atom_site_label
_atom_site_fract_x
_atom_site_fract_y
_atom_site_fract_z
_atom_site_occupancy
P1 0.000 0.000 0.000 1
W1 0.000 0.000 0.500 1
O1 0.000 0.053 0.163 1
```

=====

The following is a DFT calculation (GGA+U) of a geometry-optimized P5WO15 structure.

Results
**Volume**: 640.8 Å³/cell
**Total magnetization**: 2.0 μB per cell
**E**: -298.91 eV/cell
**Energy relative to the elements**: -2379 meV per atom

```
data_P5WO15
_chemical_formula_sum 'P10 W2 O30'
_space_group_name_H-M_alt 'P 1 21/m 1'
_space_group_IT_number 11
_cell_length_a 5.333
_cell_length_b 14.048
_cell_length_c 8.766
_cell_angle_alpha 90.00
_cell_angle_beta 102.66
_cell_angle_gamma 90.00
loop_
_space_group_symop_operation_xyz
'x,y,z'
'-x,-y,-z'
'-x,y+1/2,-z'
'x,-y+1/2,z'
loop_
_atom_site_label
_atom_site_fract_x
_atom_site_fract_y
_atom_site_fract_z
_atom_site_occupancy
P1 0.013 0.142 0.023 1
P2 0.360 0.085 0.333 1
P3 0.457 0.750 0.468 1
W1 0.500 0.000 0.000 1
O1 0.036 0.250 0.970 1
O2 0.128 0.143 0.204 1
O3 0.178 0.083 0.939 1
O4 0.207 0.750 0.357 1
O5 0.237 0.022 0.427 1
O6 0.270 0.616 0.014 1
O7 0.282 0.250 0.560 1
O8 0.441 0.664 0.606 1
O9 0.492 0.030 0.210 1
```

=====

The following is a DFT calculation (GGA+U) of a geometry-optimized PWO5 structure.

Results
**Volume**: 190.7 Å³/cell
**Total magnetization**: 2.0 μB per cell
**E**: -104.75 eV/cell
**Energy relative to the elements**: -2448 meV per atom

```
data_PWO5
_chemical_formula_sum 'P2 W2 O10'
_space_group_name_H-M_alt 'P -1'
_space_group_IT_number 2
_cell_length_a 5.386
_cell_length_b 5.408
_cell_length_c 7.418
_cell_angle_alpha 107.10
_cell_angle_beta 107.57
_cell_angle_gamma 97.95
loop_
_space_group_symop_operation_xyz
'x,y,z'
'-x,-y,-z'
loop_
_atom_site_label
_atom_site_fract_x
_atom_site_fract_y
_atom_site_fract_z
_atom_site_occupancy
P1 0.169 0.350 0.248 1
W1 0.500 0.000 0.000 1
W2 0.500 0.000 0.500 1
O1 0.126 0.756 0.894 1
O2 0.213 0.650 0.364 1
O3 0.230 0.202 0.400 1
O4 0.353 0.312 0.121 1
O5 0.426 0.052 0.742 1
```

=====

The following is a DFT calculation (GGA+U) of a geometry-optimized P3W2O13 structure.

Results
**Volume**: 1174.6 Å³/cell
**Total magnetization**: 4.0 μB per cell
**E**: -529.79 eV/cell
**Energy relative to the elements**: -2432 meV per atom

```
data_P3W2O13
_chemical_formula_sum 'P12 W8 O52'
_space_group_name_H-M_alt 'P 1 21/c 1'
_space_group_IT_number 14
_cell_length_a 9.757
_cell_length_b 19.501
_cell_length_c 6.445
_cell_angle_alpha 90.00
_cell_angle_beta 106.69
_cell_angle_gamma 90.00
loop_
_space_group_symop_operation_xyz
'x,y,z'
'-x,-y,-z'
'-x,y+1/2,-z+1/2'
'x,-y+1/2,z+1/2'
loop_
_atom_site_label
_atom_site_fract_x
_atom_site_fract_y
_atom_site_fract_z
_atom_site_occupancy
P1 0.031 0.175 0.158 1
P2 0.296 0.092 0.767 1
P3 0.303 0.532 0.012 1
W1 0.071 0.663 0.885 1
W2 0.385 0.125 0.313 1
O1 0.049 0.649 0.185 1
O2 0.054 0.650 0.566 1
O3 0.063 0.248 0.674 1
O4 0.143 0.113 0.714 1
O5 0.156 0.564 0.927 1
O6 0.181 0.137 0.219 1
O7 0.229 0.709 0.953 1
O8 0.306 0.010 0.729 1
O9 0.338 0.017 0.352 1
O10 0.379 0.127 0.623 1
O11 0.380 0.102 0.007 1
O12 0.417 0.589 0.095 1
O13 0.433 0.210 0.313 1
```

=====

The following is a DFT calculation (GGA+U) of a geometry-optimized PWO5 structure.

Results
**Volume**: 416.6 Å³/cell
**E**: -209.89 eV/cell
**Energy relative to the elements**: -2462 meV per atom

```
data_PWO5
_chemical_formula_sum 'P4 W4 O20'
_space_group_name_H-M_alt 'P n a 21'
_space_group_IT_number 33
_cell_length_a 11.490
_cell_length_b 6.755
_cell_length_c 5.368
_cell_angle_alpha 90.00
_cell_angle_beta 90.00
_cell_angle_gamma 90.00
loop_
_space_group_symop_operation_xyz
'x,y,z'
'-x,-y,z+1/2'
'-x+1/2,y+1/2,z+1/2'
'x+1/2,-y+1/2,z'
loop_
_atom_site_label
_atom_site_fract_x
_atom_site_fract_y
_atom_site_fract_z
_atom_site_occupancy
P1 0.156 0.028 0.000 1
W1 0.063 0.328 0.498 1
O1 0.004 0.491 0.211 1
O2 0.086 0.835 0.986 1
O3 0.125 0.162 0.780 1
O4 0.130 0.139 0.247 1
O5 0.214 0.481 0.488 1
```

=====

The following is a DFT calculation (GGA+U) of a geometry-optimized P2W2O9 structure.

Results
**Volume**: 764.5 Å³/cell
**Total magnetization**: 16.0 μB per cell
**E**: -388.55 eV/cell
**Energy relative to the elements**: -2379 meV per atom

```
data_P2W2O9
_chemical_formula_sum 'P8 W8 O36'
_space_group_name_H-M_alt 'P n m a'
_space_group_IT_number 62
_cell_length_a 14.630
_cell_length_b 6.589
_cell_length_c 7.931
_cell_angle_alpha 90.00
_cell_angle_beta 90.00
_cell_angle_gamma 90.00
loop_
_space_group_symop_operation_xyz
'x,y,z'
'-x,-y,-z'
'-x+1/2,-y,z+1/2'
'x+1/2,y,-z+1/2'
'x+1/2,-y+1/2,-z+1/2'
'-x+1/2,y+1/2,z+1/2'
'-x,y+1/2,-z'
'x,-y+1/2,z'
loop_
_atom_site_label
_atom_site_fract_x
_atom_site_fract_y
_atom_site_fract_z
_atom_site_occupancy
P1 0.062 0.250 0.142 1
P2 0.189 0.250 0.599 1
W1 0.000 0.000 0.500 1
W2 0.128 0.750 0.142 1
O1 0.012 0.750 0.991 1
O2 0.017 0.250 0.327 1
O3 0.047 0.750 0.368 1
O4 0.121 0.059 0.133 1
O5 0.126 0.059 0.597 1
O6 0.237 0.750 0.960 1
O7 0.250 0.250 0.764 1
```

=====

The following is a DFT calculation (GGA+U) of a geometry-optimized ZnP2WO7 structure.

Results
**Volume**: 289.9 Å³/cell
**Total magnetization**: 6.0 μB per cell
**E**: -147.90 eV/cell
**Energy relative to the elements**: -2138 meV per atom

```
data_ZnP2WO7
_chemical_formula_sum 'Zn2 P4 W2 O14'
_space_group_name_H-M_alt 'P -1'
_space_group_IT_number 2
_cell_length_a 6.732
_cell_length_b 6.733
_cell_length_c 6.967
_cell_angle_alpha 85.59
_cell_angle_beta 67.92
_cell_angle_gamma 82.38
loop_
_space_group_symop_operation_xyz
'x,y,z'
'-x,-y,-z'
loop_
_atom_site_label
_atom_site_fract_x
_atom_site_fract_y
_atom_site_fract_z
_atom_site_occupancy
Zn1 0.189 0.129 0.345 1
P1 0.152 0.618 0.151 1
P2 0.272 0.862 0.744 1
W1 0.399 0.348 0.719 1
O1 0.081 0.386 0.701 1
O2 0.110 0.940 0.641 1
O3 0.137 0.787 0.973 1
O4 0.248 0.420 0.038 1
O5 0.291 0.691 0.253 1
O6 0.406 0.023 0.760 1
O7 0.426 0.674 0.630 1
```

=====

Values for mass density, Mg/m³, ordered as above
5.85 5.60 7.77 3.00 5.13 3.78 4.70 4.98 4.85